Entry 1:
The following is a DFT calculation (PBE) of BaTlO3 after structural relaxation.

Results
The value obtained for the density is 7860 kg/m³. As for the symmetry: Pm-3m, No. 221. Its size of the total moment is 0.000 μB/f.u. For the energy of formation, the calculation gives -1.700 eV/atom.

Structure (POSCAR):
```
BaTlO3
1.0
4.3502 0.0000 0.0000
0.0000 4.3502 0.0000
0.0000 0.0000 4.3502
O Tl Ba
3 1 1
Direct
0.5000 0.5000 0.0000
0.5000 0.0000 0.5000
0.0000 0.5000 0.5000
0.5000 0.5000 0.5000
0.0000 0.0000 0.0000
```

Entry 2:
The following is a DFT calculation (PBE) of NaEuSnSbO6 after structural relaxation.

Results
The value obtained for the density is 6355 kg/m³. As for the symmetry: F-43m, No. 216. Its size of the total moment is 6.842 μB/f.u. For the energy of formation, the calculation gives -2.254 eV/atom.

Structure (POSCAR):
```
NaEuSnSbO6
1.0
0.0000 -4.0579 -4.0579
4.0579 0.0000 -4.0579
4.0579 -4.0579 0.0000
O Eu Na Sb Sn
6 1 1 1 1
Direct
0.7537 0.2463 0.2463
0.2463 0.2463 0.7537
0.2463 0.7537 0.7537
0.7537 0.7537 0.2463
0.7537 0.2463 0.7537
0.2463 0.7537 0.2463
0.2500 0.2500 0.2500
0.7500 0.7500 0.7500
0.0000 0.0000 0.0000
0.5000 0.5000 0.5000
```

Entry 3:
The following is a DFT calculation (PBE) of CeP4H50C12Cl3O11 after structural relaxation.

Results
The value obtained for the density is 1391 kg/m³. As for the symmetry: P-1, No. 2. Its size of the total moment is 1.016 μB/f.u. For the energy of formation, the calculation gives -0.758 eV/atom.

Structure (POSCAR):
```
CeP4H50C12Cl3O11
1.0
10.5408 -0.0665 1.3778
2.5923 10.3560 3.7755
-0.0102 -0.0867 16.1471
H O Cl P C Ce
100 22 6 8 24 2
Direct
0.7958 0.0484 0.6167
0.4671 0.3277 0.1582
0.5312 0.6465 0.1643
0.5532 0.6536 0.3683
0.2752 0.1160 0.1872
0.6106 0.3517 0.5879
0.9996 0.5254 0.5863
0.5410 0.0250 0.2277
0.6201 0.0831 0.2749
0.4603 0.3718 0.4462
0.1300 0.0787 0.9127
0.0409 0.6205 0.0160
0.6457 0.2355 0.0697
0.0003 0.7915 0.9908
0.6998 0.3330 0.9069
0.4468 0.3464 0.6317
0.9997 0.2085 0.0092
0.6221 0.3903 0.4063
0.9008 0.2671 0.6524
0.6647 0.5530 0.2345
0.8888 0.4170 0.3342
0.9072 0.3270 0.2752
0.9620 0.0963 0.7029
0.4194 0.9815 0.9207
0.5824 0.4756 0.1853
0.8295 0.6981 0.3401
0.3543 0.7645 0.9303
0.9625 0.0712 0.9130
0.3894 0.6483 0.4121
0.1764 0.8147 0.2480
0.5837 0.2465 0.6959
0.9591 0.3795 0.9840
0.1997 0.0502 0.1253
0.1060 0.1118 0.2101
0.7319 0.1005 0.5099
0.3015 0.2351 0.5098
0.2042 0.9516 0.3833
0.7472 0.7840 0.2395
0.8643 0.5056 0.5690
0.3353 0.4470 0.7655
0.7744 0.6182 0.0613
0.4163 0.7535 0.3041
0.4590 0.9750 0.7723
0.3779 0.6097 0.5937
0.2093 0.1278 0.6995
0.6950 0.2500 0.1532
0.6304 0.0472 0.6066
0.8236 0.1853 0.7520
0.0089 0.8664 0.5529
0.1112 0.5830 0.6658
0.7133 0.4169 0.9626
0.1705 0.3019 0.6599
0.5329 0.6723 0.8418
0.0893 0.7196 0.9104
0.0889 0.9922 0.8498
0.9107 0.2804 0.0896
0.2681 0.8995 0.4901
0.2867 0.5831 0.0374
0.7316 0.7902 0.0345
0.0714 0.0673 0.5500
0.9706 0.7614 0.5038
0.4688 0.3535 0.8357
0.8700 0.9213 0.0873
0.0992 0.7329 0.3476
0.4176 0.5244 0.8147
0.2684 0.2098 0.9655
0.3002 0.6670 0.0931
0.9911 0.1336 0.4471
0.0375 0.9288 0.0870
0.9286 0.9327 0.4500
0.5806 0.0185 0.0793
0.0004 0.4746 0.4137
0.0380 0.9037 0.2971
0.4292 0.1296 0.4661
0.4570 0.6953 0.6389
0.0294 0.2386 0.4962
0.3799 0.9169 0.7251
0.8940 0.8882 0.7899
0.4761 0.9374 0.1130
0.5239 0.0626 0.8870
0.6483 0.7134 0.9859
0.4326 0.2173 0.2381
0.9111 0.0078 0.1502
0.6672 0.9356 0.4384
0.5674 0.7827 0.7619
0.2528 0.2160 0.7605
0.3050 0.7500 0.8468
0.2256 0.3818 0.9387
0.0928 0.6730 0.7248
0.8003 0.9498 0.8747
0.3517 0.2866 0.0141
0.3328 0.0644 0.5616
0.5397 0.6282 0.5538
0.5708 0.8704 0.5339
0.3696 0.9528 0.3934
0.7907 0.8722 0.3005
0.6985 0.7649 0.4902
0.1357 0.4944 0.4310
0.7248 0.8840 0.8128
0.5430 0.3047 0.3611
0.8809 0.6105 0.8797
0.7826 0.7716 0.6624
0.6389 0.2972 0.1022
0.0642 0.6003 0.7192
0.0910 0.4752 0.3885
0.6788 0.4639 0.7144
0.9358 0.3997 0.2808
0.6034 0.6916 0.7971
0.2174 0.2284 0.3376
0.3966 0.3084 0.2029
0.5358 0.0607 0.2770
0.3212 0.5361 0.2856
0.7122 0.4188 0.9018
0.5431 0.9653 0.1337
0.2878 0.5812 0.0982
0.9090 0.5248 0.6115
0.3611 0.7028 0.8978
0.4569 0.0347 0.8663
0.0300 0.6585 0.1966
0.9700 0.3415 0.8034
0.4642 0.9393 0.7230
0.1191 0.3895 0.1203
0.6628 0.1349 0.9586
0.8065 0.1551 0.2731
0.1935 0.8449 0.7269
0.1918 0.5290 0.5444
0.8082 0.4710 0.4556
0.3372 0.8651 0.0414
0.0254 0.2180 0.7791
0.7809 0.8699 0.5718
0.4576 0.5329 0.3074
0.8637 0.7192 0.9198
0.9746 0.7820 0.2209
0.5424 0.4671 0.6926
0.1363 0.2808 0.0802
0.2191 0.1301 0.4282
0.4537 0.6599 0.3524
0.8159 0.8761 0.8414
0.8207 0.7835 0.2817
0.7298 0.0326 0.5766
0.5700 0.5540 0.2135
0.5463 0.3401 0.6476
0.0131 0.7120 0.9635
0.5280 0.3848 0.3882
0.0624 0.1436 0.4863
0.6686 0.8591 0.5016
0.2702 0.9674 0.4234
0.1841 0.1239 0.1586
0.2573 0.2910 0.9911
0.9869 0.2880 0.0365
0.1793 0.2165 0.7183
0.9376 0.8564 0.5137
0.9172 0.1890 0.7147
0.9458 0.9234 0.1266
0.0828 0.8110 0.2853
0.0542 0.0766 0.8734
0.3314 0.1409 0.4984
0.4720 0.6152 0.6118
0.7427 0.7090 0.0089
0.4300 0.4460 0.7865
0.8257 0.5525 0.7622
0.1743 0.4475 0.2378
```

Entry 4:
The following is a DFT calculation (PBE) of SmZnRh after structural relaxation.

Results
The value obtained for the density is 8866 kg/m³. As for the symmetry: Pnma, No. 62. For the energy of formation, the calculation gives -0.684 eV/atom.

Structure (POSCAR):
```
SmZnRh
1.0
-1.0092 -0.0589 3.9926
0.7320 -7.0147 0.0814
7.9217 0.8500 2.0148
Rh Sm Zn
4 4 4
Direct
0.2500 0.2580 0.6206
0.7500 0.7420 0.3794
0.2500 0.7580 0.8794
0.7500 0.2420 0.1206
0.2500 0.5376 0.1864
0.7500 0.4624 0.8136
0.2500 0.0376 0.3136
0.7500 0.9624 0.6864
0.7500 0.8619 0.0640
0.2500 0.1381 0.9360
0.7500 0.3619 0.4360
0.2500 0.6381 0.5640
```